DFT (PBE-GGA) results for a relaxed structure of KSrMg14.

a = 6.831 Å, b = 6.831 Å, c = 10.512 Å
α = 90.00°, β = 90.00°, γ = 120.00°
Atoms (fractional coordinates):
K  0.000  0.000  0.000
Sr  0.000  0.000  0.500
Mg  0.006  0.503  0.000
Mg  0.011  0.506  0.500
Mg  0.178  0.356  0.251
Mg  0.178  0.356  0.749
Mg  0.178  0.822  0.251
Mg  0.178  0.822  0.749
Mg  0.494  0.506  0.500
Mg  0.494  0.989  0.500
Mg  0.497  0.503  0.000
Mg  0.497  0.994  0.000
Mg  0.644  0.822  0.251
Mg  0.644  0.822  0.749
Mg  0.667  0.333  0.251
Mg  0.667  0.333  0.749

Results
E above lowest polymorph = 0 meV/atom
symmetry = P-6m2, No. 187
magnetic moment = 0.02 μB/cell
energy of formation from the pure elements = 112 meV per atom